A plane-wave DFT calculation with GGA+U was carried out for a geometry-optimized BaMgMoP2O8 structure.

Calculated values
Energy of formation: -2.62 eV/atom

Cell: 8.7357 5.4733 8.1504 Å, 90.00 94.35 90.00°
Space group Cm (No. 8)
Unique sites:
Ba: 0.0000 0.0000 0.0000 [2 per cell]
Mg: 0.3153 0.0000 0.3289 [2 per cell]
Mo: 0.4956 0.5000 0.5193 [2 per cell]
P: 0.1249 0.5000 0.2949 [2 per cell]
P: 0.3627 0.0000 0.7181 [2 per cell]
O: 0.0118 0.2779 0.3272 [4 per cell]
O: 0.1634 0.5000 0.1164 [2 per cell]
O: 0.2440 0.0000 0.5606 [2 per cell]
O: 0.2588 0.5000 0.4270 [2 per cell]
O: 0.2862 0.0000 0.8789 [2 per cell]
O: 0.4654 0.2325 0.7055 [4 per cell]